No. 1
VTeO4, relaxed, DFT PBE+U; MP2020-corrected energy = -7.32 eV per atom
1.0
4.5996 0.0000 0.0000
0.0000 13.6844 0.0000
-0.0910 0.0000 5.4856
V Te O
4 4 16
direct
0.1791 0.1607 0.1662 V
0.1791 0.3393 0.6662 V
0.8209 0.6607 0.3338 V
0.8209 0.8393 0.8338 V
0.4617 0.6100 0.8569 Te
0.4617 0.8900 0.3569 Te
0.5383 0.1100 0.6431 Te
0.5383 0.3900 0.1431 Te
0.1808 0.6658 0.3189 O
0.1808 0.8342 0.8189 O
0.2539 0.0822 0.8746 O
0.2539 0.4178 0.3746 O
0.3133 0.2232 0.4830 O
0.3133 0.2768 0.9830 O
0.3319 0.0480 0.3673 O
0.3319 0.4520 0.8673 O
0.6681 0.5480 0.1327 O
0.6681 0.9520 0.6327 O
0.6867 0.7232 0.0170 O
0.6867 0.7768 0.5170 O
0.7461 0.5822 0.6254 O
0.7461 0.9178 0.1254 O
0.8192 0.1658 0.1811 O
0.8192 0.3342 0.6811 O

***

No. 2
Ta2CrNO5, relaxed, DFT PBE+U; MP2020-corrected energy = -10.02 eV per atom
1.0
4.7722 -0.0115 0.0000
0.0115 -4.7722 9.2126
0.0231 -9.5444 0.0000
Ta O Cr N
8 20 4 4
direct
0.9974 0.6736 0.1619 Ta
0.5160 0.1687 0.6736 Ta
0.9974 0.6736 0.6619 Ta
0.5160 0.8313 0.3424 Ta
0.9974 0.3264 0.8355 Ta
0.5160 0.1687 0.1736 Ta
0.5160 0.8313 0.8424 Ta
0.9974 0.3264 0.3355 Ta
0.3009 0.3327 0.1802 O
0.6931 0.6673 0.8168 O
0.8066 0.5000 0.1533 O
0.3009 0.3327 0.6802 O
0.1954 0.5000 0.8477 O
0.1965 0.8280 0.6843 O
0.1965 0.8280 0.1843 O
0.3009 0.6673 0.0129 O
0.1965 0.1720 0.0122 O
0.6931 0.6673 0.3168 O
0.8066 0.5000 0.6533 O
0.1954 0.5000 0.3477 O
0.1965 0.1720 0.5122 O
0.6931 0.3327 0.4841 O
0.3027 0.0000 0.8435 O
0.3009 0.6673 0.5129 O
0.6931 0.3327 0.9841 O
0.3027 0.0000 0.3435 O
0.6871 0.0000 0.1514 O
0.6871 0.0000 0.6514 O
0.0003 0.0000 0.5001 Cr
0.0003 0.0000 0.0001 Cr
0.4968 0.5000 0.9984 Cr
0.4967 0.5000 0.4984 Cr
0.8017 0.8314 0.4852 N
0.8017 0.1686 0.3165 N
0.8017 0.1686 0.8165 N
0.8017 0.8314 0.9852 N

***

Q: MP2020-corrected energy of number 1 (VTeO4)?
A: -7.32 eV per atom

***

Q: Which formula does entry 2 have?
A: Ta2CrNO5

***

Q: Which formula does entry 2 have?
A: Ta2CrNO5